Record 1
# PtBr3

A geometry-optimized PtBr3 structure (PBE, the Materials Project).

* VASP energy: -3.003 eV per atom
* formation energy from the elements: -0.658 eV per atom

```
PtBr3
1.0
11.601 6.698 3.090
-11.601 6.698 3.090
0.000 -13.396 3.090
Pt Br
12 36
direct
0.065 0.165 0.243
0.165 0.243 0.065
0.199 0.524 0.771
0.229 0.801 0.476
0.243 0.065 0.165
0.476 0.229 0.801
0.524 0.771 0.199
0.757 0.935 0.835
0.771 0.199 0.524
0.801 0.476 0.229
0.835 0.757 0.935
0.935 0.835 0.757
0.027 0.271 0.690
0.050 0.554 0.396
0.076 0.826 0.097
0.097 0.076 0.826
0.149 0.373 0.537
0.167 0.653 0.237
0.174 0.903 0.924
0.224 0.398 0.300
0.237 0.167 0.653
0.271 0.690 0.027
0.300 0.224 0.398
0.310 0.973 0.729
0.347 0.763 0.833
0.373 0.537 0.149
0.396 0.050 0.554
0.398 0.300 0.224
0.446 0.604 0.950
0.463 0.851 0.627
0.537 0.149 0.373
0.554 0.396 0.050
0.602 0.700 0.776
0.604 0.950 0.446
0.627 0.463 0.851
0.653 0.237 0.167
0.690 0.027 0.271
0.700 0.776 0.602
0.729 0.310 0.973
0.763 0.833 0.347
0.776 0.602 0.700
0.826 0.097 0.076
0.833 0.347 0.763
0.851 0.627 0.463
0.903 0.924 0.174
0.924 0.174 0.903
0.950 0.446 0.604
0.973 0.729 0.310
```


Record 2
# ErGa2

A geometry-optimized ErGa2 structure (PBE, the Materials Project).

* VASP energy: -4.151 eV per atom
* formation energy from the elements: -0.610 eV per atom

```
ErGa2
1.0
4.198 0.000 0.000
-2.099 3.635 0.000
0.000 0.000 4.067
Er Ga
1 2
direct
0.000 0.000 0.000
0.333 0.667 0.500
0.667 0.333 0.500
```


Record 3
# Sr7Ag3

A geometry-optimized Sr7Ag3 structure (PBE, the Materials Project).

* VASP energy: -2.243 eV per atom
* formation energy from the elements: -0.211 eV per atom

```
Sr7Ag3
1.0
11.335 0.000 0.000
-5.668 9.817 0.000
0.000 0.000 7.350
Sr Ag
14 6
direct
0.083 0.542 0.000
0.126 0.251 0.691
0.126 0.874 0.691
0.251 0.126 0.191
0.333 0.667 0.490
0.458 0.542 0.000
0.458 0.917 0.000
0.542 0.083 0.500
0.542 0.458 0.500
0.667 0.333 0.990
0.749 0.874 0.691
0.874 0.126 0.191
0.874 0.749 0.191
0.917 0.458 0.500
0.188 0.377 0.269
0.188 0.812 0.269
0.377 0.188 0.769
0.623 0.812 0.269
0.812 0.188 0.769
0.812 0.623 0.769
```


Record 4
# MgAl

A geometry-optimized MgAl structure (PBE, the Materials Project).

* VASP energy: -1.785 eV per atom
* formation energy from the elements: 0.888 eV per atom

```
MgAl
1.0
0.000 3.216 3.216
3.216 0.000 3.216
3.216 3.216 0.000
Mg Al
1 1
direct
0.000 0.000 0.000
0.750 0.750 0.750
```


Record 5
# Ho2CuGe6

A geometry-optimized Ho2CuGe6 structure (PBE, the Materials Project).

* VASP energy: -4.960 eV per atom
* formation energy from the elements: -0.404 eV per atom

```
Ho2CuGe6
1.0
4.085 0.000 0.000
0.000 2.030 10.719
0.000 -2.030 10.719
Ho Cu Ge
2 1 6
direct
0.000 0.000 0.000
0.000 0.335 0.335
0.500 0.780 0.780
0.000 0.603 0.603
0.000 0.719 0.719
0.500 0.102 0.102
0.500 0.219 0.219
0.500 0.461 0.461
0.500 0.889 0.889
```


Record 6
# OF

A geometry-optimized OF structure (PBE, the Materials Project).

* VASP energy: -2.315 eV per atom
* formation energy from the elements: 0.541 eV per atom

```
OF
1.0
1.521 0.878 7.058
-1.521 0.878 7.058
0.000 -1.757 7.058
O F
2 2
direct
0.107 0.107 0.107
0.893 0.893 0.893
0.391 0.391 0.391
0.609 0.609 0.609
```


Record 7
# PrZnBi2O6

A geometry-optimized PrZnBi2O6 structure (PBE, the Materials Project).

* VASP energy: -6.029 eV per atom
* formation energy from the elements: -2.090 eV per atom

```
PrZnBi2O6
1.0
8.635 0.000 0.000
0.000 6.496 0.000
0.000 0.000 5.715
Pr Zn Bi O
2 2 4 12
direct
0.000 0.166 0.000
0.500 0.834 0.500
0.000 0.902 0.490
0.500 0.098 0.990
0.242 0.719 0.968
0.258 0.281 0.468
0.742 0.281 0.468
0.758 0.719 0.968
0.000 0.233 0.592
0.000 0.809 0.814
0.173 0.958 0.268
0.185 0.414 0.122
0.315 0.586 0.622
0.327 0.042 0.768
0.500 0.191 0.314
0.500 0.767 0.092
0.673 0.042 0.768
0.685 0.586 0.622
0.815 0.414 0.122
0.827 0.958 0.268
```


Record 8
# BaLiO3

A geometry-optimized BaLiO3 structure (PBE, the Materials Project).

* VASP energy: -4.976 eV per atom
* formation energy from the elements: -1.653 eV per atom

```
BaLiO3
1.0
4.087 0.000 0.000
0.000 4.087 0.000
0.000 0.000 4.087
Ba Li O
1 1 3
direct
0.000 0.000 0.000
0.500 0.500 0.500
0.000 0.500 0.500
0.500 0.000 0.500
0.500 0.500 0.000
```


Record 9
# As2SO6

A geometry-optimized As2SO6 structure (PBE, the Materials Project).

* VASP energy: -6.022 eV per atom
* formation energy from the elements: -1.687 eV per atom
* maximum piezoelectric response: 0.11 C/m2

```
As2SO6
1.0
4.857 0.000 0.000
0.000 11.577 0.000
0.000 0.000 5.079
As S O
4 2 12
direct
0.240 0.191 0.169
0.260 0.691 0.831
0.740 0.309 0.831
0.760 0.809 0.169
0.000 0.500 0.204
0.500 0.000 0.796
0.086 0.259 0.879
0.114 0.405 0.357
0.228 0.544 0.016
0.272 0.044 0.984
0.386 0.905 0.643
0.414 0.759 0.121
0.586 0.241 0.121
0.614 0.095 0.643
0.728 0.956 0.984
0.772 0.456 0.016
0.886 0.595 0.357
0.914 0.741 0.879
```


Record 10
# ScGeIr

A geometry-optimized ScGeIr structure (PBE, the Materials Project).

* VASP energy: -7.553 eV per atom
* formation energy from the elements: -0.955 eV per atom

```
ScGeIr
1.0
6.510 0.000 0.000
0.000 4.149 0.000
0.000 0.000 7.524
Sc Ge Ir
4 4 4
direct
0.014 0.250 0.187
0.486 0.750 0.687
0.514 0.250 0.313
0.986 0.750 0.813
0.216 0.750 0.377
0.284 0.250 0.877
0.716 0.750 0.123
0.784 0.250 0.623
0.164 0.250 0.558
0.336 0.750 0.058
0.664 0.250 0.942
0.836 0.750 0.442
```


Record 11
# NbBr5N2

A geometry-optimized NbBr5N2 structure (PBE, the Materials Project).

* VASP energy: -3.797 eV per atom
* formation energy from the elements: 0.482 eV per atom

```
NbBr5N2
1.0
7.437 0.000 0.000
0.000 7.437 0.000
0.000 0.000 19.978
Nb Br N
4 20 8
direct
0.000 0.000 0.094
0.000 0.000 0.906
0.500 0.500 0.406
0.500 0.500 0.594
0.000 0.000 0.235
0.000 0.000 0.765
0.184 0.285 0.106
0.184 0.285 0.894
0.215 0.316 0.394
0.215 0.316 0.606
0.285 0.816 0.106
0.285 0.816 0.894
0.316 0.785 0.394
0.316 0.785 0.606
0.500 0.500 0.265
0.500 0.500 0.735
0.684 0.215 0.394
0.684 0.215 0.606
0.715 0.184 0.106
0.715 0.184 0.894
0.785 0.684 0.394
0.785 0.684 0.606
0.816 0.715 0.106
0.816 0.715 0.894
0.000 0.000 0.000
0.000 0.000 0.500
0.000 0.500 0.250
0.000 0.500 0.750
0.500 0.000 0.250
0.500 0.000 0.750
0.500 0.500 0.000
0.500 0.500 0.500
```


Record 12
# Na2Al2Si3H4O12

A geometry-optimized Na2Al2Si3H4O12 structure (PBE, the Materials Project).

* VASP energy: -5.959 eV per atom
* formation energy from the elements: -1.997 eV per atom

```
Na2Al2Si3H4O12
1.0
9.029 0.000 0.000
-4.483 8.635 0.000
-1.449 -0.959 15.734
Na Al Si H O
8 8 12 16 48
direct
0.000 0.000 0.000
0.012 0.564 0.001
0.285 0.209 0.538
0.393 0.881 0.727
0.494 0.150 0.363
0.680 0.781 0.134
0.896 0.311 0.353
0.917 0.918 0.503
0.043 0.757 0.193
0.073 0.543 0.664
0.242 0.444 0.805
0.351 0.742 0.286
0.670 0.100 0.998
0.823 0.637 0.353
0.859 0.236 0.787
0.905 0.598 0.799
0.029 0.198 0.670
0.185 0.878 0.390
0.306 0.222 0.172
0.306 0.436 0.373
0.311 0.965 0.922
0.417 0.529 0.973
0.440 0.236 0.051
0.582 0.500 0.432
0.603 0.619 0.868
0.673 0.102 0.585
0.690 0.412 0.607
0.924 0.141 0.159
0.070 0.364 0.537
0.082 0.924 0.683
0.203 0.278 0.330
0.224 0.587 0.759
0.232 0.727 0.567
0.276 0.683 0.125
0.290 0.096 0.231
0.316 0.009 0.833
0.413 0.370 0.225
0.537 0.945 0.595
0.576 0.485 0.719
0.632 0.869 0.860
0.766 0.010 0.267
0.857 0.482 0.145
0.931 0.300 0.155
0.935 0.558 0.500
0.003 0.899 0.137
0.025 0.768 0.312
0.071 0.244 0.777
0.071 0.359 0.473
0.076 0.076 0.628
0.095 0.773 0.475
0.102 0.686 0.874
0.108 0.373 0.636
0.120 0.817 0.933
0.122 0.866 0.723
0.128 0.216 0.134
0.218 0.046 0.421
0.235 0.451 0.915
0.244 0.771 0.196
0.251 0.690 0.622
0.255 0.419 0.473
0.255 0.553 0.322
0.265 0.595 0.082
0.294 0.098 0.981
0.353 0.874 0.365
0.428 0.664 0.044
0.457 0.504 0.790
0.460 0.403 0.021
0.476 0.946 0.953
0.556 0.629 0.255
0.562 0.787 0.267
0.568 0.428 0.528
0.602 0.223 0.620
0.618 0.232 0.047
0.667 0.100 0.821
0.678 0.429 0.371
0.682 0.503 0.694
0.683 0.148 0.479
0.691 0.808 0.852
0.721 0.686 0.433
0.725 0.657 0.251
0.762 0.583 0.870
0.791 0.175 0.903
0.799 0.080 0.516
0.800 0.051 0.066
0.814 0.116 0.248
0.819 0.138 0.675
0.883 0.482 0.586
0.905 0.589 0.130
0.923 0.431 0.765
0.935 0.972 0.197
0.979 0.608 0.443
0.998 0.702 0.706
```